Entry 1:
Entry from the Materials Project database: a geometry-optimized MgNb2P2O10 structure (GGA-PBE).

POSCAR file:
```
MgNb2P2O10
1.0
-1.6983 4.7228 1.7386
-6.1501 -2.3082 0.2624
0.9888 -1.9292 6.2065
O Nb P Mg
10 2 2 1
Direct
0.6630 0.5560 0.2746
0.3104 0.4270 0.7255
0.3370 0.7746 0.4440
0.0905 0.2500 0.2500
0.6896 0.2745 0.9270
0.6630 0.9440 0.2254
0.3104 0.0730 0.7745
0.9095 0.7500 0.7500
0.3370 0.7254 0.0560
0.6896 0.2255 0.5730
0.7593 0.2500 0.2500
0.2407 0.7500 0.7500
0.5000 0.7500 0.2500
0.5000 0.2500 0.7500
0.0000 0.2500 0.7500
```

Summary:
Symmetry = P-4, No. 81
M_tot = 2.0 μB per formula unit
Energy above the lowest structure with this stoichiometry = 135 meV per atom

Entry 2:
Entry from the Materials Project database: a geometry-optimized NaHo3 structure (GGA-PBE).

POSCAR file:
```
NaHo3
1.0
-0.5430 -3.1111 -3.8835
4.9760 -0.3387 -0.4244
0.0010 -3.9066 3.1295
Ho Na
3 1
Direct
0.5000 0.5000 0.0000
0.5000 0.0000 0.5000
0.0000 0.5000 0.5000
0.0000 0.0000 0.0000
```

Summary:
Symmetry = Pm-3m, No. 221
M_tot = 0.0 μB per formula unit
Energy above the lowest structure with this stoichiometry = 13 meV per atom

Entry 3:
Entry from the Materials Project database: a geometry-optimized Y12Os5C15 structure (GGA-PBE).

POSCAR file:
```
Y12Os5C15
1.0
3.8970 0.8546 -3.1597
6.6913 -4.6570 6.9930
-4.8327 -5.9066 -7.5578
Y C Os
12 15 5
Direct
0.0000 0.1835 0.7272
0.0000 0.2728 0.4562
0.5000 0.2067 0.2067
0.0000 0.5438 0.8165
0.5000 0.7933 0.0000
0.0000 0.7272 0.1835
0.5000 0.4341 0.0000
0.0000 0.4562 0.2728
0.0000 0.8165 0.5438
0.5000 0.5659 0.5659
0.5000 0.0000 0.4341
0.5000 0.0000 0.7933
0.5000 0.8148 0.5316
0.5000 0.7168 0.1852
0.0000 0.0000 0.7930
0.5000 0.5316 0.8148
0.5000 0.1852 0.7168
0.0000 0.3360 0.0000
0.0000 0.0000 0.3360
0.0000 0.5391 0.5391
0.0000 0.7930 0.0000
0.0000 0.4609 0.0000
0.5000 0.2832 0.4684
0.5000 0.4684 0.2832
0.0000 0.2070 0.2070
0.0000 0.0000 0.4609
0.0000 0.6640 0.6640
0.0000 0.1613 0.0000
0.5000 0.3333 0.6667
0.0000 0.0000 0.1613
0.5000 0.6667 0.3333
0.0000 0.8387 0.8387
```

Summary:
Symmetry = P-62m, No. 189

Entry 4:
Entry from the Materials Project database: a geometry-optimized GaSnSe2 structure (GGA-PBE).

POSCAR file:
```
GaSnSe2
1.0
-0.9204 1.1478 -3.6267
-0.7815 -4.3478 -1.1776
-10.8088 1.1051 3.0930
Se Sn Ga
4 2 2
Direct
0.0000 0.2373 0.8439
0.0000 0.7627 0.3439
0.5000 0.7568 0.6394
0.5000 0.2432 0.1394
0.5000 0.3419 0.3933
0.5000 0.6581 0.8933
0.0000 0.1217 0.6233
0.0000 0.8783 0.1233
```

Summary:
Symmetry = Pmc2_1, No. 26
M_tot = 0.0 μB per formula unit

Number 1: energy of formation from the pure elements -2652 meV/atom. Number 2: energy of formation from the pure elements 327 meV/atom. Number 3: energy of formation from the pure elements -345 meV/atom. Number 4: energy of formation from the pure elements -537 meV/atom.